Entry 1:
PHPbO4: relaxed, PBE.

Calculated values
Largest piezoelectric modulus in C/m2: 1.2
Calculated volume in Å³ per atom: 13.19
Calculated density in Mg/m³: 5.45
M_tot in μB per cell: 0.00
Energy with MP2020 corrections in eV per atom: -6.7932

Cell lengths 6.635, 4.789, 5.853 Å; angles 83.27, 90.00, 90.00 degrees
Fractional coordinates of all 14 atoms:
H (0.512, 0.503, 0.498)
H (0.488, 0.503, 0.998)
P (0.211, 0.494, 0.750)
P (0.789, 0.494, 0.250)
O (0.922, 0.258, 0.375)
O (0.350, 0.371, 0.572)
O (0.078, 0.258, 0.875)
O (0.650, 0.371, 0.072)
O (0.917, 0.739, 0.129)
O (0.346, 0.619, 0.937)
O (0.083, 0.739, 0.629)
O (0.654, 0.619, 0.437)
Pb (0.202, 0.999, 0.254)
Pb (0.798, 0.999, 0.754)

Entry 2:
PrP2H7O7: relaxed, PBE.

Calculated values
Calculated volume in Å³ per atom: 12.16
Calculated density in Mg/m³: 2.59
M_tot in μB per cell: 0.00
Energy with MP2020 corrections in eV per atom: -6.2187

Cell lengths 6.754, 7.221, 16.956 Å; angles 90.00, 90.00, 90.00 degrees
Fractional coordinates of all 68 atoms:
P (0.156, 0.109, 0.078)
P (0.811, 0.664, 0.712)
P (0.344, 0.891, 0.578)
P (0.844, 0.609, 0.422)
P (0.311, 0.836, 0.288)
P (0.189, 0.164, 0.788)
P (0.689, 0.336, 0.212)
P (0.656, 0.391, 0.922)
O (0.688, 0.222, 0.869)
O (0.001, 0.640, 0.758)
O (0.179, 0.370, 0.562)
O (0.830, 0.505, 0.213)
O (0.418, 0.071, 0.615)
O (0.499, 0.360, 0.258)
O (0.681, 0.829, 0.739)
O (0.821, 0.870, 0.938)
O (0.186, 0.684, 0.907)
O (0.814, 0.184, 0.593)
O (0.918, 0.429, 0.385)
O (0.330, 0.995, 0.787)
O (0.188, 0.278, 0.131)
O (0.679, 0.130, 0.438)
O (0.082, 0.929, 0.115)
O (0.686, 0.816, 0.093)
O (0.582, 0.571, 0.885)
O (0.314, 0.316, 0.407)
O (0.999, 0.140, 0.742)
O (0.312, 0.722, 0.631)
O (0.670, 0.495, 0.713)
O (0.170, 0.005, 0.287)
O (0.819, 0.171, 0.239)
O (0.181, 0.671, 0.261)
O (0.321, 0.630, 0.062)
O (0.812, 0.778, 0.369)
O (0.501, 0.860, 0.242)
O (0.319, 0.329, 0.761)
Pr (0.353, 0.662, 0.774)
Pr (0.647, 0.162, 0.726)
Pr (0.147, 0.338, 0.274)
Pr (0.853, 0.838, 0.226)
H (0.737, 0.771, 0.915)
H (0.475, 0.841, 0.517)
H (0.559, 0.750, 0.088)
H (0.441, 0.250, 0.412)
H (0.239, 0.658, 0.960)
H (0.336, 0.068, 0.039)
H (0.941, 0.250, 0.588)
H (0.525, 0.341, 0.983)
H (0.164, 0.932, 0.539)
H (0.664, 0.568, 0.461)
H (0.360, 0.804, 0.368)
H (0.739, 0.842, 0.040)
H (0.276, 0.514, 0.088)
H (0.776, 0.986, 0.912)
H (0.640, 0.304, 0.132)
H (0.724, 0.014, 0.412)
H (0.237, 0.729, 0.085)
H (0.975, 0.659, 0.483)
H (0.763, 0.229, 0.415)
H (0.059, 0.750, 0.912)
H (0.261, 0.342, 0.460)
H (0.263, 0.271, 0.585)
H (0.836, 0.432, 0.961)
H (0.761, 0.158, 0.540)
H (0.224, 0.486, 0.588)
H (0.025, 0.159, 0.017)
H (0.860, 0.696, 0.632)
H (0.140, 0.196, 0.868)